[1]
CaLaMnFeO6: optimized geometry, PBE with a Hubbard U.

a b c (Å): 5.476 5.518 9.468
angles (deg): 54.59 90.00 90.00
Element x y z (fractional)
1 Ca 0.739 0.738 0.751
2 Ca 0.261 0.738 0.251
3 La 0.242 0.257 0.750
4 La 0.758 0.257 0.250
5 Mn 0.750 0.500 0.500
6 Mn 0.250 0.500 0.000
7 Fe 0.750 0.000 0.999
8 Fe 0.250 0.000 0.499
9 O 0.255 0.821 0.754
10 O 0.992 0.310 0.957
11 O 0.985 0.713 0.544
12 O 0.008 0.310 0.457
13 O 0.015 0.713 0.044
14 O 0.745 0.821 0.254
15 O 0.754 0.172 0.745
16 O 0.497 0.697 0.543
17 O 0.491 0.293 0.957
18 O 0.509 0.293 0.457
19 O 0.503 0.697 0.043
20 O 0.246 0.172 0.245

Results
**Magnetization**: 8.00 μB/f.u.
**Calculated formation energy**: -2.6979 eV/atom



[2]
CaLa2Mn2Fe2O12: optimized geometry, PBE with a Hubbard U.

a b c (Å): 5.452 5.480 7.716
angles (deg): 89.81 89.94 89.73
Element x y z (fractional)
1 Ca 0.026 0.000 0.250
2 La 0.983 0.994 0.749
3 La 0.523 0.495 0.251
4 Mn 0.499 0.999 0.504
5 Mn 0.005 0.496 0.996
6 Fe 0.499 0.001 0.995
7 Fe 0.008 0.496 0.505
8 O 0.987 0.560 0.248
9 O 0.782 0.225 0.034
10 O 0.777 0.219 0.466
11 O 0.740 0.732 0.975
12 O 0.731 0.736 0.526
13 O 0.500 0.054 0.747
14 O 0.502 0.941 0.252
15 O 0.268 0.261 0.457
16 O 0.265 0.268 0.044
17 O 0.218 0.786 0.515
18 O 0.212 0.783 0.984
19 O 0.010 0.442 0.753

Results
**Magnetization**: 14.00 μB/f.u.
**Calculated formation energy**: -2.3783 eV/atom



no.,calculated volume (A^3/atom)
1,11.7
2,12.1